A geometry-optimized SmMgS3 structure, computed with GGA-PBE.

```
SmMgS3
1.0
-6.8094 -0.5004 -0.6178
2.9160 -0.3653 6.1939
-1.4505 17.6111 1.7215
Sm Mg S
6 6 18
direct
0.0000 0.0000 0.3550 Sm
0.0000 0.0000 0.6450 Sm
0.6667 0.3333 0.6883 Sm
0.6667 0.3333 0.9783 Sm
0.3333 0.6667 0.0217 Sm
0.3333 0.6667 0.3117 Sm
0.0000 0.0000 0.1535 Mg
0.0000 0.0000 0.8465 Mg
0.6667 0.3333 0.4868 Mg
0.6667 0.3333 0.1799 Mg
0.3333 0.6667 0.8201 Mg
0.3333 0.6667 0.5132 Mg
0.9839 0.3606 0.5814 S
0.0161 0.6394 0.4186 S
0.6394 0.6234 0.5814 S
0.3606 0.3766 0.4186 S
0.3766 0.0161 0.5814 S
0.6234 0.9839 0.4186 S
0.6506 0.6939 0.9147 S
0.6827 0.9728 0.7520 S
0.3061 0.9567 0.9147 S
0.0272 0.7099 0.7520 S
0.0433 0.3494 0.9147 S
0.2901 0.3173 0.7520 S
0.3173 0.0272 0.2480 S
0.3494 0.3061 0.0853 S
0.9728 0.2901 0.2480 S
0.6939 0.0433 0.0853 S
0.7099 0.6827 0.2480 S
0.9567 0.6506 0.0853 S
```

Calculated values
Formation energy from the elements   -776 kJ/mol of formula units
E above lowest polymorph   0 meV per atom

A geometry-optimized TiMnAl structure, computed with GGA-PBE.

```
TiMnAl
1.0
-0.7540 4.6780 -1.3393
4.1235 -1.2704 2.4728
3.7974 -1.4079 -7.0555
Ti Mn Al
4 4 4
direct
0.6687 0.3343 0.5534 Ti
0.3433 0.6717 0.4250 Ti
0.3433 0.6717 0.0750 Ti
0.6687 0.3343 0.9466 Ti
0.6657 0.8328 0.7500 Mn
0.8165 0.6404 0.2500 Mn
0.8166 0.1762 0.2500 Mn
0.3501 0.1751 0.2500 Mn
0.9864 0.9932 0.4899 Al
0.9864 0.9932 0.0101 Al
0.1772 0.3447 0.7500 Al
0.1772 0.8325 0.7500 Al
```

Calculated values
Formation energy from the elements   -88 kJ/mol of formula units
Symmetry   No. 38

A geometry-optimized Mg7NbH16 structure, computed with GGA-PBE.

```
Mg7NbH16
1.0
5.6878 -3.3003 0.8373
3.6709 1.0441 5.4202
0.4511 -4.6995 4.6535
Mg Nb H
7 1 16
direct
0.0000 0.0000 0.5000 Mg
0.5000 0.0000 0.5000 Mg
0.0000 0.5000 0.5000 Mg
0.5000 0.5000 0.0000 Mg
0.0000 0.5000 0.0000 Mg
0.5000 0.0000 0.0000 Mg
0.5000 0.5000 0.5000 Mg
0.0000 0.0000 0.0000 Nb
0.8799 0.8799 0.3602 H
0.8799 0.3602 0.8799 H
0.3602 0.8799 0.8799 H
0.8799 0.8799 0.8799 H
0.1201 0.1201 0.6398 H
0.1201 0.6398 0.1201 H
0.6398 0.1201 0.1201 H
0.1201 0.1201 0.1201 H
0.6275 0.6275 0.1174 H
0.6275 0.1174 0.6275 H
0.1174 0.6275 0.6275 H
0.6275 0.6275 0.6275 H
0.3725 0.3725 0.8826 H
0.3725 0.8826 0.3725 H
0.8826 0.3725 0.3725 H
0.3725 0.3725 0.3725 H
```

Calculated values
Formation energy from the elements   -559 kJ/mol of formula units
Symmetry   No. 225

A geometry-optimized Er3Ni2 structure, computed with GGA-PBE.

```
Er3Ni2
1.0
-5.7587 -3.8168 1.8194
2.2317 -6.6328 1.4374
0.0925 -0.7017 7.1091
Er Ni
9 6
direct
0.5000 0.5000 0.5000 Er
0.2924 0.2924 0.2924 Er
0.7076 0.7076 0.7076 Er
0.8380 0.3287 0.1126 Er
0.3287 0.1126 0.8380 Er
0.1126 0.8380 0.3287 Er
0.1620 0.6713 0.8874 Er
0.6713 0.8874 0.1620 Er
0.8874 0.1620 0.6713 Er
0.4600 0.6440 0.0869 Ni
0.6440 0.0869 0.4600 Ni
0.0869 0.4600 0.6440 Ni
0.5400 0.3560 0.9131 Ni
0.3560 0.9131 0.5400 Ni
0.9131 0.5400 0.3560 Ni
```

Calculated values
Formation energy from the elements   -185 kJ/mol of formula units
Symmetry   No. 148

A geometry-optimized Na3Li2AlSi2O8 structure, computed with GGA-PBE.

```
Na3Li2AlSi2O8
1.0
7.1269 -7.4399 0.0000
7.1269 7.4399 0.0000
0.0000 0.0000 7.1538
Na Li Al Si O
12 8 4 8 32
direct
0.8773 0.8773 0.0000 Na
0.3773 0.3773 0.5000 Na
0.1227 0.1227 0.0000 Na
0.6227 0.6227 0.5000 Na
0.0976 0.4024 0.7500 Na
0.4024 0.0976 0.2500 Na
0.9024 0.5976 0.2500 Na
0.5976 0.9024 0.7500 Na
0.8658 0.1342 0.2479 Na
0.1342 0.8658 0.7521 Na
0.6342 0.3658 0.7479 Na
0.3658 0.6342 0.2521 Na
0.1630 0.6483 0.5141 Li
0.6483 0.1630 0.4859 Li
0.1483 0.6630 0.0141 Li
0.6630 0.1483 0.9859 Li
0.8370 0.3517 0.4859 Li
0.3517 0.8370 0.5141 Li
0.8517 0.3370 0.9859 Li
0.3370 0.8517 0.0141 Li
0.8381 0.8381 0.5000 Al
0.3381 0.3381 0.0000 Al
0.1619 0.1619 0.5000 Al
0.6619 0.6619 0.0000 Al
0.0981 0.9019 0.2847 Si
0.9019 0.0981 0.7153 Si
0.4019 0.5981 0.7847 Si
0.5981 0.4019 0.2153 Si
0.9045 0.5955 0.7500 Si
0.5955 0.9045 0.2500 Si
0.0955 0.4045 0.2500 Si
0.4045 0.0955 0.7500 Si
0.1712 0.8288 0.4501 O
0.8288 0.1712 0.5499 O
0.3288 0.6712 0.9501 O
0.6712 0.3288 0.0499 O
0.1340 0.8660 0.0692 O
0.8660 0.1340 0.9308 O
0.3660 0.6340 0.5692 O
0.6340 0.3660 0.4308 O
0.9358 0.8770 0.3048 O
0.8770 0.9358 0.6952 O
0.3770 0.4358 0.8048 O
0.4358 0.3770 0.1952 O
0.0642 0.1230 0.6952 O
0.1230 0.0642 0.3048 O
0.6230 0.5642 0.1952 O
0.5642 0.6230 0.8048 O
0.8287 0.6530 0.9390 O
0.6530 0.8287 0.0610 O
0.1530 0.3287 0.4390 O
0.3287 0.1530 0.5610 O
0.1713 0.3470 0.0610 O
0.3470 0.1713 0.9390 O
0.8470 0.6713 0.5610 O
0.6713 0.8470 0.4390 O
0.0606 0.6288 0.7672 O
0.6288 0.0606 0.2328 O
0.1288 0.5606 0.2672 O
0.5606 0.1288 0.7328 O
0.9394 0.3712 0.2328 O
0.3712 0.9394 0.7672 O
0.8712 0.4394 0.7328 O
0.4394 0.8712 0.2672 O
```

Calculated values
Formation energy from the elements   -4365 kJ/mol of formula units
Symmetry   No. 64

A geometry-optimized Rb2FeI4 structure, computed with GGA-PBE.

```
Rb2FeI4
1.0
7.4458 0.0000 -2.6277
0.0000 8.3460 0.0000
0.0407 0.0000 10.4916
Rb Fe I
4 2 8
direct
0.2014 0.7402 0.0397 Rb
0.2890 0.7393 0.5822 Rb
0.7110 0.2393 0.4178 Rb
0.7986 0.2402 0.9603 Rb
0.7962 0.7449 0.2108 Fe
0.2038 0.2449 0.7892 Fe
0.6282 0.7504 0.9481 I
0.5839 0.7477 0.3582 I
0.0097 0.4937 0.2689 I
0.3718 0.2504 0.0519 I
0.9850 0.4925 0.7255 I
0.4161 0.2477 0.6418 I
0.9903 0.9937 0.7311 I
0.0150 0.9925 0.2745 I
```

Calculated values
Formation energy from the elements   -772 kJ/mol of formula units
Symmetry   No. 4